(1)
## Sr4TiAs4 (GGA-PBE)

Data for crystalline Sr4TiAs4 at its relaxed geometry.

Cell: 12.9848 12.9848 12.9848 Å, 90.00 90.00 90.00°
Closest atoms and distances in Å follow each position.
Fractional coordinates of all 72 atoms:
Sr 0.1374 0.3528 0.9048  6 As 3.17-3.43, 1 Ti 3.30
As 0.6085 0.8555 0.1155  1 Ti 2.47
Sr 0.6374 0.5952 0.1472  6 As 3.17-3.43, 1 Ti 3.30
As 0.6155 0.3555 0.1085  1 Ti 2.47
Sr 0.3528 0.0952 0.8626  6 As 3.17-3.43, 1 Ti 3.30
As 0.3555 0.8915 0.3845  1 Ti 2.47
As 0.3903 0.6097 0.6097  1 Ti 2.47
As 0.8555 0.8845 0.3915  1 Ti 2.47
Sr 0.3526 0.6474 0.3526  6 As 3.20-3.41, 1 Ti 3.32
As 0.6097 0.3903 0.6097  1 Ti 2.47
Sr 0.3626 0.4048 0.1472  6 As 3.17-3.43, 1 Ti 3.30
Sr 0.1472 0.6374 0.5952  6 As 3.17-3.43, 1 Ti 3.30
As 0.1445 0.8845 0.6085  1 Ti 2.47
As 0.6085 0.1445 0.8845  1 Ti 2.47
As 0.1097 0.8903 0.1097  1 Ti 2.47
Sr 0.8526 0.8526 0.1474  6 As 3.20-3.41, 1 Ti 3.32
Ti 0.7500 0.0000 0.5000  4 As 2.47
Sr 0.3526 0.3526 0.6474  6 As 3.20-3.41, 1 Ti 3.32
Sr 0.5952 0.1472 0.6374  6 As 3.17-3.43, 1 Ti 3.30
Ti 0.5000 0.5000 0.5000  4 As 2.47
Sr 0.8528 0.3626 0.5952  6 As 3.17-3.43, 1 Ti 3.30
Sr 0.6474 0.6474 0.6474  6 As 3.20-3.41, 1 Ti 3.32
As 0.6445 0.1085 0.3845  1 Ti 2.47
As 0.3845 0.3555 0.8915  1 Ti 2.47
Sr 0.3528 0.9048 0.1374  6 As 3.17-3.43, 1 Ti 3.30
Sr 0.8626 0.3528 0.0952  6 As 3.17-3.43, 1 Ti 3.30
Ti 0.0000 0.0000 0.0000  4 As 2.47
As 0.8845 0.6085 0.1445  1 Ti 2.47
As 0.8555 0.1155 0.6085  1 Ti 2.47
Ti 0.5000 0.7500 0.0000  4 As 2.47
Sr 0.1474 0.1474 0.1474  6 As 3.20-3.41, 1 Ti 3.32
Sr 0.8626 0.6472 0.9048  6 As 3.17-3.43, 1 Ti 3.30
As 0.1097 0.1097 0.8903  1 Ti 2.47
As 0.1155 0.3915 0.1445  1 Ti 2.47
As 0.1155 0.6085 0.8555  1 Ti 2.47
As 0.1085 0.6155 0.3555  1 Ti 2.47
As 0.8915 0.6155 0.6445  1 Ti 2.47
As 0.8903 0.8903 0.8903  1 Ti 2.47
As 0.1445 0.1155 0.3915  1 Ti 2.47
Sr 0.0952 0.8626 0.3528  6 As 3.17-3.43, 1 Ti 3.30
As 0.3903 0.3903 0.3903  1 Ti 2.47
Sr 0.8528 0.6374 0.4048  6 As 3.17-3.43, 1 Ti 3.30
Sr 0.9048 0.8626 0.6472  6 As 3.17-3.43, 1 Ti 3.30
As 0.3555 0.1085 0.6155  1 Ti 2.47
Sr 0.3626 0.5952 0.8528  6 As 3.17-3.43, 1 Ti 3.30
As 0.1085 0.3845 0.6445  1 Ti 2.47
As 0.8903 0.1097 0.1097  1 Ti 2.47
Sr 0.1474 0.8526 0.8526  6 As 3.20-3.41, 1 Ti 3.32
As 0.6155 0.6445 0.8915  1 Ti 2.47
Ti 0.5000 0.2500 0.0000  4 As 2.47
Sr 0.1374 0.6472 0.0952  6 As 3.17-3.43, 1 Ti 3.30
As 0.8915 0.3845 0.3555  1 Ti 2.47
Sr 0.6472 0.9048 0.8626  6 As 3.17-3.43, 1 Ti 3.30
As 0.8845 0.3915 0.8555  1 Ti 2.47
As 0.6445 0.8915 0.6155  1 Ti 2.47
Ti 0.2500 0.0000 0.5000  4 As 2.47
Sr 0.4048 0.8528 0.6374  6 As 3.17-3.43, 1 Ti 3.30
Ti 0.0000 0.5000 0.7500  4 As 2.47
Sr 0.6474 0.3526 0.3526  6 As 3.20-3.41, 1 Ti 3.32
Sr 0.6374 0.4048 0.8528  6 As 3.17-3.43, 1 Ti 3.30
As 0.6097 0.6097 0.3903  1 Ti 2.47
As 0.3845 0.6445 0.1085  1 Ti 2.47
As 0.3915 0.1445 0.1155  1 Ti 2.47
Sr 0.6472 0.0952 0.1374  6 As 3.17-3.43, 1 Ti 3.30
Sr 0.9048 0.1374 0.3528  6 As 3.17-3.43, 1 Ti 3.30
Sr 0.1472 0.3626 0.4048  6 As 3.17-3.43, 1 Ti 3.30
Sr 0.4048 0.1472 0.3626  6 As 3.17-3.43, 1 Ti 3.30
Sr 0.5952 0.8528 0.3626  6 As 3.17-3.43, 1 Ti 3.30
Sr 0.8526 0.1474 0.8526  6 As 3.20-3.41, 1 Ti 3.32
Ti 0.0000 0.5000 0.2500  4 As 2.47
As 0.3915 0.8555 0.8845  1 Ti 2.47
Sr 0.0952 0.1374 0.6472  6 As 3.17-3.43, 1 Ti 3.30

Results
- Total DFT energy (no corrections): -4.824 eV per atom
- SG: P-43n, No. 218

***

(2)
## SrZn2As2 (GGA-PBE)

Data for crystalline SrZn2As2 at its relaxed geometry.

Cell: 4.2659 4.2659 7.3193 Å, 90.00 90.00 120.00°
Closest atoms and distances in Å follow each position.
Fractional coordinates of all 5 atoms:
Zn 0.6667 0.3333 0.6294  4 As 2.57-2.63
As 0.6667 0.3333 0.2706  4 Zn 2.57-2.63
Zn 0.3333 0.6667 0.3706  4 As 2.57-2.63
As 0.3333 0.6667 0.7294  4 Zn 2.57-2.63
Sr 0.0000 0.0000 0.0000  6 As 3.16

Results
- Total DFT energy (no corrections): -3.374 eV per atom
- SG: P-3m1, No. 164

***

(3)
## Ta3As (GGA-PBE)

Data for crystalline Ta3As at its relaxed geometry.

Cell: 10.3197 10.3197 5.2264 Å, 90.00 90.00 90.00°
Closest atoms and distances in Å follow each position.
Fractional coordinates of all 32 atoms:
Ta 0.2860 0.1886 0.9900  3 As 2.61-2.91, 3 Ta 2.89-2.91
Ta 0.4831 0.3501 0.2281  4 As 2.63-2.68, 2 Ta 2.89-2.91
Ta 0.5970 0.9150 0.4747  2 As 2.64-2.68, 1 Ta 2.66
Ta 0.9831 0.8501 0.2719  4 As 2.63-2.68, 2 Ta 2.89-2.91
Ta 0.2140 0.3114 0.5100  3 As 2.61-2.91, 3 Ta 2.89-2.91
Ta 0.5850 0.0970 0.9747  2 As 2.64-2.68, 1 Ta 2.66
As 0.7949 0.0267 0.2273  9 Ta 2.61-2.91
As 0.2949 0.5267 0.2727  9 Ta 2.61-2.91
Ta 0.3501 0.5169 0.7719  4 As 2.63-2.68, 2 Ta 2.89-2.91
Ta 0.3114 0.7860 0.4900  3 As 2.61-2.91, 3 Ta 2.89-2.91
As 0.0267 0.2051 0.7727  9 Ta 2.61-2.91
Ta 0.7140 0.8114 0.9900  3 As 2.61-2.91, 3 Ta 2.89-2.91
Ta 0.8114 0.2860 0.0100  3 As 2.61-2.91, 3 Ta 2.89-2.91
Ta 0.1499 0.9831 0.7281  4 As 2.63-2.68, 2 Ta 2.89-2.91
Ta 0.0169 0.1499 0.2719  4 As 2.63-2.68, 2 Ta 2.89-2.91
Ta 0.9030 0.5850 0.0253  2 As 2.64-2.68, 1 Ta 2.66
As 0.5267 0.7051 0.7273  9 Ta 2.61-2.91
As 0.9733 0.7949 0.7727  9 Ta 2.61-2.91
Ta 0.6886 0.2140 0.4900  3 As 2.61-2.91, 3 Ta 2.89-2.91
Ta 0.4150 0.9030 0.9747  2 As 2.64-2.68, 1 Ta 2.66
As 0.4733 0.2949 0.7273  9 Ta 2.61-2.91
Ta 0.4030 0.0850 0.4747  2 As 2.64-2.68, 1 Ta 2.66
Ta 0.0970 0.4150 0.0253  2 As 2.64-2.68, 1 Ta 2.66
Ta 0.7860 0.6886 0.5100  3 As 2.61-2.91, 3 Ta 2.89-2.91
As 0.2051 0.9733 0.2273  9 Ta 2.61-2.91
Ta 0.0850 0.5970 0.5253  2 As 2.64-2.68, 1 Ta 2.66
Ta 0.9150 0.4030 0.5253  2 As 2.64-2.68, 1 Ta 2.66
As 0.7051 0.4733 0.2727  9 Ta 2.61-2.91
Ta 0.8501 0.0169 0.7281  4 As 2.63-2.68, 2 Ta 2.89-2.91
Ta 0.5169 0.6499 0.2281  4 As 2.63-2.68, 2 Ta 2.89-2.91
Ta 0.6499 0.4831 0.7719  4 As 2.63-2.68, 2 Ta 2.89-2.91
Ta 0.1886 0.7140 0.0100  3 As 2.61-2.91, 3 Ta 2.89-2.91

Results
- Total DFT energy (no corrections): -10.382 eV per atom
- SG: P4_2/n, No. 86

***

(4)
## TaAs2 (GGA-PBE)

Data for crystalline TaAs2 at its relaxed geometry.

Cell: 5.0212 5.0212 7.8478 Å, 62.24 62.24 39.89°
Closest atoms and distances in Å follow each position.
Fractional coordinates of all 6 atoms:
Ta 0.8431 0.8431 0.1954  8 As 2.68-2.76
As 0.1406 0.1406 0.4723  1 As 2.47, 3 Ta 2.68-2.69
As 0.8594 0.8594 0.5277  1 As 2.47, 3 Ta 2.68-2.69
As 0.4057 0.4057 0.8923  5 Ta 2.72-2.76, 1 As 3.00
Ta 0.1569 0.1569 0.8046  8 As 2.68-2.76
As 0.5943 0.5943 0.1077  5 Ta 2.72-2.76, 1 As 3.00

Results
- Total DFT energy (no corrections): -7.527 eV per atom
- SG: C2/m, No. 12

***

(5)
## Ta3As (GGA-PBE)

Data for crystalline Ta3As at its relaxed geometry.

Cell: 7.8381 7.8381 14.6589 Å, 89.39 89.39 38.27°
Closest atoms and distances in Å follow each position.
Fractional coordinates of all 32 atoms:
As 0.6278 0.5994 0.8441  8 Ta 2.63-2.68
As 0.8982 0.9008 0.3590  8 Ta 2.63-2.69
Ta 0.5661 0.5675 0.6707  4 As 2.64-2.68, 2 Ta 2.90-2.92
Ta 0.5675 0.5661 0.1707  4 As 2.64-2.68, 2 Ta 2.90-2.92
Ta 0.5003 0.9843 0.2021  2 As 2.63-2.65, 4 Ta 2.92-2.94
Ta 0.9146 0.9369 0.1772  4 As 2.64-2.69, 1 Ta 2.87
As 0.0992 0.1018 0.1410  8 Ta 2.63-2.69
Ta 0.4122 0.9051 0.9957  2 As 2.64-2.68, 1 Ta 2.71
Ta 0.7989 0.2980 0.9942  2 As 2.63-2.68, 2 Ta 2.87-2.90
As 0.1018 0.0992 0.6410  8 Ta 2.63-2.69
Ta 0.7020 0.2011 0.5058  2 As 2.63-2.68, 2 Ta 2.87-2.90
Ta 0.5878 0.0949 0.0043  2 As 2.64-2.68, 1 Ta 2.71
Ta 0.5182 0.9762 0.5909  2 As 2.64-2.67, 2 Ta 2.67-2.92
Ta 0.9843 0.5003 0.7021  2 As 2.63-2.65, 4 Ta 2.92-2.94
Ta 0.4818 0.0238 0.4091  2 As 2.64-2.67, 2 Ta 2.67-2.92
Ta 0.0157 0.4997 0.2979  2 As 2.63-2.65, 4 Ta 2.92-2.94
Ta 0.0631 0.0854 0.3229  4 As 2.64-2.69, 1 Ta 2.87
Ta 0.9369 0.9146 0.6772  4 As 2.64-2.69, 1 Ta 2.87
Ta 0.9762 0.5182 0.0909  2 As 2.64-2.67, 2 Ta 2.67-2.92
Ta 0.4997 0.0157 0.7979  2 As 2.63-2.65, 4 Ta 2.92-2.94
Ta 0.2980 0.7989 0.4942  2 As 2.63-2.68, 2 Ta 2.87-2.90
Ta 0.0238 0.4818 0.9091  2 As 2.64-2.67, 2 Ta 2.67-2.92
Ta 0.0949 0.5878 0.5043  2 As 2.64-2.68, 1 Ta 2.71
As 0.5994 0.6278 0.3441  8 Ta 2.63-2.68
Ta 0.0854 0.0631 0.8228  4 As 2.64-2.69, 1 Ta 2.87
Ta 0.4339 0.4325 0.3293  4 As 2.64-2.68, 2 Ta 2.90-2.92
As 0.9008 0.8982 0.8590  8 Ta 2.63-2.69
Ta 0.2011 0.7020 0.0058  2 As 2.63-2.68, 2 Ta 2.87-2.90
Ta 0.9051 0.4122 0.4957  2 As 2.64-2.68, 1 Ta 2.71
Ta 0.4325 0.4339 0.8293  4 As 2.64-2.68, 2 Ta 2.90-2.92
As 0.4006 0.3722 0.6559  8 Ta 2.63-2.68
As 0.3722 0.4006 0.1559  8 Ta 2.63-2.68

Results
- Total DFT energy (no corrections): -10.380 eV per atom
- SG: C2/c, No. 15

***

(6)
## Ta2As (GGA-PBE)

Data for crystalline Ta2As at its relaxed geometry.

Cell: 3.4925 11.9379 14.9505 Å, 90.00 90.00 90.00°
Closest atoms and distances in Å follow each position.
Fractional coordinates of all 36 atoms:
Ta 0.0000 0.1412 0.5222  4 As 2.66-2.69, 2 Ta 2.95
Ta 0.0000 0.8847 0.9277  4 As 2.63-2.77, 2 Ta 2.89
As 0.5000 0.0803 0.2041  8 Ta 2.63-2.86
Ta 0.5000 0.6153 0.4277  4 As 2.63-2.77, 2 Ta 2.89
As 0.5000 0.9197 0.7959  8 Ta 2.63-2.86
Ta 0.5000 0.6957 0.2025  5 As 2.60-2.63
Ta 0.0000 0.8043 0.7025  5 As 2.60-2.63
Ta 0.5000 0.9713 0.6094  3 As 2.66-2.86, 2 Ta 2.95
Ta 0.5000 0.3588 0.0222  4 As 2.66-2.69, 2 Ta 2.95
Ta 0.5000 0.5794 0.7437  4 As 2.65-2.68
As 0.5000 0.8124 0.3491  7 Ta 2.60-2.68
As 0.5000 0.7457 0.5809  8 Ta 2.59-2.77
As 0.0000 0.3124 0.1509  7 Ta 2.60-2.68
Ta 0.0000 0.0794 0.7563  4 As 2.65-2.68
Ta 0.0000 0.9206 0.2437  4 As 2.65-2.68
As 0.5000 0.1876 0.6509  7 Ta 2.60-2.68
As 0.5000 0.2543 0.4191  8 Ta 2.59-2.77
Ta 0.0000 0.1957 0.2975  5 As 2.60-2.63
Ta 0.5000 0.3043 0.7975  5 As 2.60-2.63
As 0.0000 0.4197 0.7041  8 Ta 2.63-2.86
As 0.0000 0.7543 0.0809  8 Ta 2.59-2.77
Ta 0.0000 0.5849 0.5797  3 As 2.59-2.71, 2 Ta 2.89
Ta 0.0000 0.5287 0.1094  3 As 2.66-2.86, 2 Ta 2.95
Ta 0.5000 0.9151 0.0797  3 As 2.59-2.71, 2 Ta 2.89
Ta 0.5000 0.3847 0.5723  4 As 2.63-2.77, 2 Ta 2.89
Ta 0.0000 0.8588 0.4778  4 As 2.66-2.69, 2 Ta 2.95
Ta 0.0000 0.4151 0.4203  3 As 2.59-2.71, 2 Ta 2.89
As 0.0000 0.6876 0.8491  7 Ta 2.60-2.68
Ta 0.5000 0.0287 0.3906  3 As 2.66-2.86, 2 Ta 2.95
Ta 0.5000 0.0849 0.9203  3 As 2.59-2.71, 2 Ta 2.89
As 0.0000 0.2457 0.9191  8 Ta 2.59-2.77
Ta 0.0000 0.4713 0.8906  3 As 2.66-2.86, 2 Ta 2.95
Ta 0.5000 0.6412 0.9778  4 As 2.66-2.69, 2 Ta 2.95
Ta 0.0000 0.1153 0.0723  4 As 2.63-2.77, 2 Ta 2.89
As 0.0000 0.5803 0.2959  8 Ta 2.63-2.86
Ta 0.5000 0.4206 0.2563  4 As 2.65-2.68

Results
- Total DFT energy (no corrections): -9.849 eV per atom
- SG: Pnnm, No. 58

***

(7)
## TbAs3 (GGA-PBE)

Data for crystalline TbAs3 at its relaxed geometry.

Cell: 6.0150 6.0150 5.5836 Å, 90.00 90.00 120.00°
Closest atoms and distances in Å follow each position.
Fractional coordinates of all 8 atoms:
As 0.6289 0.8145 0.2500  2 As 2.67
As 0.8145 0.1855 0.7500  2 As 2.67
Tb 0.6667 0.3333 0.2500  12 As 3.01-3.19
As 0.1855 0.8145 0.2500  2 As 2.67
As 0.1855 0.3711 0.2500  2 As 2.67
Tb 0.3333 0.6667 0.7500  12 As 3.01-3.19
As 0.3711 0.1855 0.7500  2 As 2.67
As 0.8145 0.6289 0.7500  2 As 2.67

Results
- Total DFT energy (no corrections): -5.150 eV per atom
- SG: P6_3/mmc, No. 194

***

(8)
## TbAs3 (GGA-PBE)

Data for crystalline TbAs3 at its relaxed geometry.

Cell: 4.3774 4.3774 4.3774 Å, 90.00 90.00 90.00°
Closest atoms and distances in Å follow each position.
Fractional coordinates of all 4 atoms:
As 0.0000 0.5000 0.5000  8 As 3.10, 4 Tb 3.10
As 0.5000 0.0000 0.5000  4 Tb 3.10, 8 As 3.10
As 0.5000 0.5000 0.0000  4 Tb 3.10, 8 As 3.10
Tb 0.0000 0.0000 0.0000  12 As 3.10

Results
- Total DFT energy (no corrections): -5.157 eV per atom
- SG: Pm-3m, No. 221

***

(9)
## TcAs3 (GGA-PBE)

Data for crystalline TcAs3 at its relaxed geometry.

Cell: 4.6295 4.6295 4.6295 Å, 123.24 123.24 84.47°
Closest atoms and distances in Å follow each position.
Fractional coordinates of all 4 atoms:
Tc 0.0000 0.0000 0.0000  12 As 2.79-3.11
As 0.2500 0.7500 0.5000  8 As 2.79-3.11, 4 Tc 2.79
As 0.7500 0.2500 0.5000  8 As 2.79-3.11, 4 Tc 2.79
As 0.5000 0.5000 0.0000  8 As 2.79, 4 Tc 3.11

Results
- Total DFT energy (no corrections): -5.680 eV per atom
- SG: I4/mmm, No. 139